1.
## Li7Mn4CoO12 (PBE+U)

Data for a geometry-optimized Li7Mn4CoO12 structure.

Unit cell a=6.506 b=6.506 c=5.221 alpha=95.70 beta=95.70 gamma=83.00
Positions (direct):
Li 0.000 0.000 0.000
Li 0.079 0.417 0.240
Li 0.239 0.241 0.760
Li 0.409 0.085 0.242
Li 0.583 0.921 0.760
Li 0.759 0.761 0.240
Li 0.915 0.591 0.758
Mn 0.323 0.677 0.000
Mn 0.497 0.503 0.500
Mn 0.666 0.334 0.000
Mn 0.832 0.168 0.500
Co 0.158 0.842 0.500
O 0.058 0.704 0.121
O 0.111 0.120 0.398
O 0.223 0.568 0.645
O 0.296 0.942 0.879
O 0.377 0.388 0.106
O 0.432 0.777 0.355
O 0.547 0.218 0.607
O 0.612 0.623 0.894
O 0.715 0.069 0.152
O 0.782 0.453 0.393
O 0.880 0.889 0.602
O 0.931 0.285 0.848

Values from the calculation:
Energy above the most stable polymorph in this dataset   0.184 eV/atom

---

2.
## Li6Mn3CoO10 (PBE+U)

Data for a geometry-optimized Li6Mn3CoO10 structure.

Unit cell a=6.665 b=6.665 c=9.870 alpha=101.94 beta=101.94 gamma=25.19
Positions (direct):
Li 0.000 0.000 0.000
Li 0.091 0.091 0.284
Li 0.301 0.301 0.900
Li 0.503 0.503 0.503
Li 0.691 0.691 0.084
Li 0.899 0.899 0.707
Mn 0.195 0.195 0.601
Mn 0.407 0.407 0.192
Mn 0.798 0.798 0.393
Co 0.584 0.584 0.814
O 0.062 0.062 0.651
O 0.149 0.149 0.938
O 0.261 0.261 0.257
O 0.334 0.334 0.533
O 0.452 0.452 0.839
O 0.538 0.538 0.153
O 0.651 0.651 0.469
O 0.744 0.744 0.727
O 0.855 0.855 0.067
O 0.946 0.946 0.330

Values from the calculation:
Energy above the most stable polymorph in this dataset   0.080 eV/atom

---

3.
## Li3MnCoO5 (PBE+U)

Data for a geometry-optimized Li3MnCoO5 structure.

Unit cell a=2.981 b=5.067 c=12.099 alpha=96.31 beta=94.78 gamma=91.03
Positions (direct):
Li 0.000 0.000 0.000
Li 0.084 0.719 0.192
Li 0.295 0.113 0.600
Li 0.482 0.531 0.997
Li 0.695 0.909 0.401
Li 0.897 0.312 0.799
Mn 0.186 0.419 0.399
Mn 0.582 0.206 0.191
Co 0.400 0.818 0.807
Co 0.800 0.622 0.603
O 0.062 0.342 0.110
O 0.115 0.093 0.290
O 0.243 0.752 0.498
O 0.339 0.498 0.702
O 0.433 0.128 0.885
O 0.552 0.884 0.106
O 0.602 0.542 0.299
O 0.773 0.285 0.501
O 0.813 0.944 0.699
O 0.964 0.669 0.890

Values from the calculation:
Energy above the most stable polymorph in this dataset   0.070 eV/atom

---

4.
## Li7Mn2Co3O12 (PBE+U)

Data for a geometry-optimized Li7Mn2Co3O12 structure.

Unit cell a=6.616 b=6.616 c=5.020 alpha=97.03 beta=97.03 gamma=83.90
Positions (direct):
Li 0.000 0.000 0.000
Li 0.079 0.406 0.241
Li 0.242 0.243 0.748
Li 0.407 0.084 0.251
Li 0.594 0.921 0.759
Li 0.757 0.758 0.252
Li 0.916 0.593 0.749
Mn 0.332 0.668 0.000
Mn 0.500 0.500 0.500
Co 0.156 0.844 0.500
Co 0.681 0.319 0.000
Co 0.838 0.162 0.500
O 0.072 0.707 0.137
O 0.117 0.120 0.386
O 0.232 0.547 0.642
O 0.293 0.928 0.863
O 0.385 0.396 0.140
O 0.453 0.768 0.358
O 0.542 0.230 0.624
O 0.604 0.615 0.860
O 0.702 0.061 0.138
O 0.770 0.458 0.376
O 0.880 0.883 0.614
O 0.939 0.298 0.862

Values from the calculation:
Energy above the most stable polymorph in this dataset   0.206 eV/atom

---

5.
## Li4MnCo2O7 (PBE+U)

Data for a geometry-optimized Li4MnCo2O7 structure.

Unit cell a=4.992 b=6.603 c=7.812 alpha=86.03 beta=77.56 gamma=83.15
Positions (direct):
Li 0.000 0.000 0.000
Li 0.066 0.862 0.346
Li 0.217 0.577 0.067
Li 0.353 0.279 0.796
Li 0.497 0.998 0.500
Li 0.650 0.720 0.208
Li 0.790 0.413 0.930
Li 0.919 0.137 0.654
Mn 0.137 0.712 0.716
Mn 0.278 0.426 0.430
Co 0.422 0.139 0.135
Co 0.565 0.860 0.864
Co 0.706 0.569 0.573
Co 0.849 0.274 0.280
O 0.026 0.445 0.664
O 0.114 0.284 0.051
O 0.175 0.165 0.395
O 0.258 0.967 0.747
O 0.338 0.862 0.104
O 0.387 0.690 0.481
O 0.453 0.580 0.800
O 0.520 0.429 0.202
O 0.585 0.310 0.532
O 0.662 0.135 0.897
O 0.740 0.018 0.255
O 0.830 0.828 0.612
O 0.892 0.710 0.939
O 0.957 0.553 0.344

Values from the calculation:
Energy above the most stable polymorph in this dataset   0.023 eV/atom

---

6.
## Li4MnCo2O7 (PBE+U)

Data for a geometry-optimized Li4MnCo2O7 structure.

Unit cell a=5.927 b=6.503 c=7.646 alpha=104.75 beta=110.96 gamma=103.17
Positions (direct):
Li 0.000 0.000 0.000
Li 0.072 0.574 0.858
Li 0.224 0.721 0.572
Li 0.357 0.862 0.287
Li 0.500 0.000 0.000
Li 0.643 0.138 0.713
Li 0.776 0.279 0.428
Li 0.928 0.426 0.142
Mn 0.424 0.425 0.140
Mn 0.576 0.575 0.860
Co 0.144 0.140 0.714
Co 0.271 0.273 0.415
Co 0.729 0.727 0.585
Co 0.856 0.860 0.286
O 0.073 0.284 0.932
O 0.085 0.860 0.764
O 0.211 0.420 0.659
O 0.245 0.008 0.509
O 0.332 0.561 0.347
O 0.404 0.167 0.218
O 0.460 0.693 0.060
O 0.540 0.307 0.940
O 0.596 0.833 0.782
O 0.668 0.439 0.653
O 0.755 0.992 0.491
O 0.789 0.580 0.341
O 0.915 0.140 0.236
O 0.927 0.716 0.068

Values from the calculation:
Energy above the most stable polymorph in this dataset   0.052 eV/atom

---

7.
## Li5MnCo2O8 (PBE+U)

Data for a geometry-optimized Li5MnCo2O8 structure.

Unit cell a=5.926 b=2.940 c=8.109 alpha=90.00 beta=90.57 gamma=90.00
Positions (direct):
Li 0.000 0.000 0.000
Li 0.012 0.000 0.489
Li 0.256 0.500 0.753
Li 0.526 0.000 0.002
Li 0.770 0.500 0.230
Mn 0.767 0.500 0.753
Co 0.250 0.500 0.234
Co 0.518 0.000 0.482
O 0.031 0.000 0.246
O 0.265 0.500 0.022
O 0.276 0.500 0.474
O 0.505 0.000 0.251
O 0.536 0.000 0.737
O 0.750 0.500 0.507
O 0.761 0.500 0.977
O 0.985 0.000 0.743

Values from the calculation:
Energy above the most stable polymorph in this dataset   0.061 eV/atom

---

8.
## Li5Mn2CoO8 (PBE+U)

Data for a geometry-optimized Li5Mn2CoO8 structure.

Unit cell a=2.897 b=9.777 c=10.172 alpha=79.31 beta=90.10 gamma=90.86
Positions (direct):
Co 0.500 0.750 0.625
O 0.027 0.629 0.075
Li 0.500 0.250 0.875
O 0.505 0.390 0.195
Mn 0.008 0.492 0.759
Mn 0.991 0.008 0.991
O 0.516 0.614 0.806
O 0.025 0.629 0.576
Mn 0.009 0.492 0.259
Li 0.500 0.250 0.375
O 0.484 0.886 0.444
O 0.003 0.386 0.425
O 0.996 0.115 0.325
Li 0.000 0.750 0.875
O 0.515 0.614 0.306
Li 0.507 0.491 0.000
Li 0.493 0.009 0.250
Li 0.000 0.250 0.125
Li 0.506 0.491 0.500
O 0.004 0.385 0.925
Mn 0.992 0.008 0.491
O 0.974 0.871 0.175
O 0.505 0.390 0.695
O 0.997 0.114 0.825
O 0.975 0.871 0.674
Li 0.494 0.009 0.750
O 0.495 0.110 0.555
O 0.485 0.886 0.944
Co 0.500 0.750 0.125
Li 0.000 0.750 0.375
Li 0.000 0.250 0.625
O 0.495 0.110 0.055

Values from the calculation:
Energy above the most stable polymorph in this dataset   0.030 eV/atom